Compound: La2MgMoO6
Source: the Materials Project database
Functional: GGA+U
Structure: relaxed

For the total energy, the calculation gives -7.47 eV/atom. The calculation puts the corrected total energy (MP2020 scheme) at -81.983 eV per cell. Its crystal system is triclinic. The energy of formation comes out at -2998 meV per atom.

It has space group P1 (No. 1), with a = 5.8706 Å, b = 5.8900 Å, c = 6.0077 Å, α = 89.91°, β = 61.15° and γ = 60.16°. The distinct sites, in fractional coordinates, are La at (0.0000, 0.0000, 0.0000), La at (0.4701, 0.2607, 0.7895), Mg at (0.4326, 0.7841, 0.3540), Mo at (0.8163, 0.5926, 0.7734), O at (0.2353, 0.1637, 0.6112), O at (0.3762, 0.9751, 0.0529), O at (0.5965, 0.5734, 0.6005), O at (0.6010, 0.4345, 0.0501), O at (0.9214, 0.6443, 0.0515) and O at (0.9901, 0.8225, 0.6098).